(1)
# SmEuTi4O12

An optimized crystal structure of SmEuTi4O12 (PBE, the Materials Project database).

Unit cell a=5.4862 b=5.4862 c=7.7077 alpha=90.00 beta=90.00 gamma=90.00
Positions (direct):
Sm1 0.0000 0.0000 0.0000
Eu1 0.5000 0.5000 0.5000
Ti1 0.0000 0.5000 0.2506
Ti2 0.0000 0.5000 0.7494
Ti3 0.5000 0.0000 0.2506
Ti4 0.5000 0.0000 0.7494
O1 0.0000 0.5000 0.0000
O2 0.0000 0.5000 0.5000
O3 0.2488 0.2488 0.2489
O4 0.2488 0.2488 0.7511
O5 0.2488 0.7512 0.2489
O6 0.2488 0.7512 0.7511
O7 0.5000 0.0000 0.0000
O8 0.5000 0.0000 0.5000
O9 0.7512 0.2488 0.2489
O10 0.7512 0.2488 0.7511
O11 0.7512 0.7512 0.2489
O12 0.7512 0.7512 0.7511

Properties
- Total magnetic moment: 0.23 μB/atom
- Total energy after the MP2020 corrections: -0.6669 Ry/atom
- ΔH_f (0 K): -57.39 eV per formula unit
- Calculated density: 4.91 Mg/m³



(2)
# Eu2Sn2O7

An optimized crystal structure of Eu2Sn2O7 (PBE, the Materials Project database).

Unit cell a=7.5358 b=7.5358 c=7.5358 alpha=60.00 beta=60.00 gamma=60.00
Positions (direct):
Eu1 0.0000 0.0000 0.0000
Eu2 0.0000 0.0000 0.5000
Eu3 0.0000 0.5000 0.0000
Eu4 0.5000 0.0000 0.0000
Sn1 0.0000 0.5000 0.5000
Sn2 0.5000 0.0000 0.5000
Sn3 0.5000 0.5000 0.0000
Sn4 0.5000 0.5000 0.5000
O1 0.1250 0.1250 0.1250
O2 0.1656 0.1656 0.5844
O3 0.1656 0.5844 0.1656
O4 0.1656 0.5844 0.5844
O5 0.4156 0.4156 0.8344
O6 0.4156 0.8344 0.4156
O7 0.4156 0.8344 0.8344
O8 0.5844 0.1656 0.1656
O9 0.5844 0.1656 0.5844
O10 0.5844 0.5844 0.1656
O11 0.8344 0.4156 0.4156
O12 0.8344 0.4156 0.8344
O13 0.8344 0.8344 0.4156
O14 0.8750 0.8750 0.8750

Properties
- Total energy after the MP2020 corrections: -0.6188 Ry/atom
- ΔH_f (0 K): -29.44 eV per formula unit
- Calculated density: 7.17 Mg/m³